Below is a relaxed V4O3F9 crystal, with properties calculated at the r²SCAN level.

Cell: 5.0734 5.2769 17.0279 Å, 89.10 98.20 118.64°
Closest atoms and distances in Å follow each position.
Element x y z (fractional)
V (0.9805, 0.0151, 0.0010)  1 O 1.66
F (0.1702, 0.6006, 0.1657)  2 V 1.90-1.99
F (0.3286, 0.1423, 0.0861)  2 V 1.91-1.96
V (0.2157, 0.0933, 0.3744)  1 O 1.67
V (0.5254, 0.2488, 0.7502)  2 O 1.69-1.86
F (0.8183, 0.7180, 0.5347)  2 V 1.91-2.00
F (0.7231, 0.5737, 0.6835)  2 V 1.93-1.96
V (0.2191, 0.6142, 0.8721)  1 O 1.68
V (0.9715, 0.4722, 0.5041)  1 O 1.69
O (0.8510, 0.4278, 0.8325)  2 V 1.68-1.86
O (0.6519, 0.5371, 0.2078)  1 V 1.67
F (0.2795, 0.9604, 0.8165)  2 V 1.92-1.95
O (0.8480, 0.2044, 0.0423)  1 V 1.66
F (0.3492, 0.4831, 0.7866)  2 V 1.94-1.99
F (0.2353, 0.3132, 0.9366)  2 V 1.94
F (0.6681, 0.3315, 0.4114)  2 V 1.91-2.02
O (0.7837, 0.1936, 0.5603)  2 V 1.69-1.85
F (0.1678, 0.0975, 0.6637)  2 V 1.89-2.00
V (0.7448, 0.8988, 0.6259)  2 O 1.83-1.85, 4 F 1.89-2.00
F (0.2269, 0.7984, 0.4412)  2 V 1.93-2.00
F (0.3484, 0.9615, 0.2910)  2 V 1.93-2.00
F (0.1726, 0.7888, 0.9632)  2 V 1.92-2.03
O (0.6569, 0.0530, 0.7075)  2 V 1.69-1.83
F (0.7318, 0.0673, 0.1900)  2 V 1.90-1.97
F (0.6698, 0.8397, 0.9103)  2 V 1.92-2.01
F (0.7647, 0.6707, 0.0588)  2 V 1.91-1.95
O (0.8471, 0.9055, 0.3360)  2 V 1.67-1.87
V (0.5250, 0.7283, 0.2519)  1 O 1.67
F (0.1842, 0.2848, 0.4649)  2 V 1.92-1.96
F (0.2726, 0.4349, 0.3157)  2 V 1.91-1.96
F (0.3185, 0.6690, 0.5879)  2 V 1.92-1.95
V (0.7505, 0.3722, 0.1259)  4 F 1.90-1.91, 2 O 1.90-1.93

E_form = -3.044 eV/atom
relative energy among the computed polymorphs = 0.00 eV/f.u.